# UTeS, relaxed, DFT PBE
# DFT total energy: -7.257 eV/atom
# crystal system: orthorhombic
# ΔH_f (0 K): -1.2342 eV per atom
# volume: 24.18 A^3/atom
data_UTeS
_chemical_formula_sum 'U4 Te4 S4'
_cell_length_a 4.215
_cell_length_b 7.684
_cell_length_c 8.961
_cell_angle_alpha 90.00
_cell_angle_beta 90.00
_cell_angle_gamma 90.00
_space_group_name_H-M_alt 'P 1'
_space_group_IT_number 1
_space_group_name_Hall 'P 1'
loop_
_atom_site_label
_atom_site_fract_x
_atom_site_fract_y
_atom_site_fract_z
U1 0.250 0.204 0.879
U2 0.750 0.796 0.121
U3 0.250 0.704 0.621
U4 0.750 0.296 0.379
Te1 0.250 0.975 0.341
Te2 0.750 0.525 0.841
Te3 0.250 0.475 0.159
Te4 0.750 0.025 0.659
S1 0.750 0.149 0.072
S2 0.250 0.351 0.572
S3 0.750 0.649 0.428
S4 0.250 0.851 0.928

# TeWS, relaxed, DFT PBE
# DFT total energy: -7.112 eV/atom
# crystal system: trigonal
# ΔH_f (0 K): -0.5336 eV per atom
# total magnetization: 0.00 μB/f.u.
# volume: 39.05 A^3/atom
data_TeWS
_chemical_formula_sum 'Te2 W2 S2'
_cell_length_a 3.360
_cell_length_b 3.360
_cell_length_c 23.969
_cell_angle_alpha 90.00
_cell_angle_beta 90.00
_cell_angle_gamma 120.00
_space_group_name_H-M_alt 'P 1'
_space_group_IT_number 1
_space_group_name_Hall 'P 1'
loop_
_atom_site_label
_atom_site_fract_x
_atom_site_fract_y
_atom_site_fract_z
Te1 0.333 0.667 0.531
Te2 0.333 0.667 0.372
W1 0.333 0.667 0.150
W2 0.667 0.333 0.451
S1 0.667 0.333 0.087
S2 0.667 0.333 0.214

# Te2W3S4, relaxed, DFT PBE
# DFT total energy: -7.355 eV/atom
# crystal system: hexagonal
# ΔH_f (0 K): -0.7218 eV per atom
# total magnetization: 0.00 μB/f.u.
# volume: 32.02 A^3/atom
data_Te2W3S4
_chemical_formula_sum 'Te2 W3 S4'
_cell_length_a 3.300
_cell_length_b 3.300
_cell_length_c 30.551
_cell_angle_alpha 90.00
_cell_angle_beta 90.00
_cell_angle_gamma 120.00
_space_group_name_H-M_alt 'P 1'
_space_group_IT_number 1
_space_group_name_Hall 'P 1'
loop_
_atom_site_label
_atom_site_fract_x
_atom_site_fract_y
_atom_site_fract_z
Te1 0.000 0.000 0.063
Te2 0.000 0.000 0.937
W1 0.000 0.000 0.769
W2 0.000 0.000 0.231
W3 0.333 0.667 0.000
S1 0.333 0.667 0.718
S2 0.333 0.667 0.181
S3 0.333 0.667 0.819
S4 0.333 0.667 0.282

Question: The lowest DFT total energy belongs to which entry?
Answer: Te2W3S4

Question: Which formula does entry 3 have?
Answer: Te2W3S4

Question: Among the records above, which one has the lowest DFT total energy?
Answer: Te2W3S4